No. 1
VASP calculation (meta-GGA r2SCAN) on an optimized crystal structure of MgNi2O4.

Cell lengths 5.8039, 5.8039, 5.8227 Å; angles 59.74, 59.74, 59.95 degrees
Sites, in units of the cell vectors:
O 0.7265 0.7265 0.7749
O 0.2430 0.2430 0.8026
O 0.7394 0.2956 0.2455
O 0.2735 0.2735 0.2251
O 0.2606 0.7044 0.7545
O 0.7044 0.2606 0.7545
O 0.7570 0.7570 0.1974
O 0.2956 0.7394 0.2455
Ni 0.5000 0.0000 0.0000
Ni 0.0000 0.5000 0.0000
Ni 0.5000 0.5000 0.0000
Ni 0.5000 0.5000 0.5000
Mg 0.8787 0.8787 0.3667
Mg 0.1213 0.1213 0.6333

Results
The excess energy over the best structure of this formula in the dataset comes out at 6.6 meV/atom. The calculation puts the formation energy at -1.63 eV per atom. As for the total energy: -63.433 eV per formula unit. As for the total magnetization: 2.0 μB/f.u.



No. 2
VASP calculation (meta-GGA r2SCAN) on an optimized crystal structure of Mg5Ni9P7.

Cell lengths 3.6380, 9.2242, 9.2233 Å; angles 120.00, 90.00, 90.00 degrees
Sites, in units of the cell vectors:
Mg 0.5000 0.1197 0.2265
Mg 0.0000 0.6667 0.3333
Mg 0.5000 0.3332 0.6669
Mg 0.5000 0.1068 0.8803
Mg 0.5000 0.7735 0.8933
Ni 0.0000 0.0720 0.6394
Ni 0.0000 0.2922 0.1278
Ni 0.5000 0.4486 0.0551
Ni 0.0000 0.3605 0.4324
Ni 0.5000 0.6066 0.5513
Ni 0.0000 0.8719 0.1643
Ni 0.0000 0.8361 0.7078
Ni 0.5000 0.9448 0.3935
Ni 0.0000 0.5674 0.9282
P 0.0000 0.5739 0.6868
P 0.5000 0.4232 0.2859
P 0.0000 0.0000 0.0000
P 0.5000 0.7140 0.1373
P 0.5000 0.8627 0.5768
P 0.0000 0.1129 0.4261
P 0.0000 0.3131 0.8871

Results
The calculation puts the formation energy at -0.62 eV per atom. As for the total energy: -204.761 eV per formula unit. As for the total magnetization: 0.0 μB/f.u.



No. 3
VASP calculation (meta-GGA r2SCAN) on an optimized crystal structure of Pr2MgNi2.

Cell lengths 3.8946, 7.5324, 7.5324 Å; angles 90.00, 90.00, 90.00 degrees
Sites, in units of the cell vectors:
Pr 0.5000 0.6753 0.8247
Pr 0.5000 0.1753 0.6753
Pr 0.5000 0.3247 0.1753
Pr 0.5000 0.8247 0.3247
Ni 0.0000 0.3834 0.8834
Ni 0.0000 0.1166 0.3834
Ni 0.0000 0.6166 0.1166
Ni 0.0000 0.8834 0.6166
Mg 0.0000 0.0000 0.0000
Mg 0.0000 0.5000 0.5000

Results
The calculation puts the formation energy at -0.22 eV per atom. As for the total energy: -88.047 eV per formula unit. As for the total magnetization: 0.0 μB/f.u.



No. 4
VASP calculation (meta-GGA r2SCAN) on an optimized crystal structure of PrMg2Ni9.

Cell lengths 8.3010, 8.3010, 8.3010 Å; angles 34.04, 34.04, 34.04 degrees
Sites, in units of the cell vectors:
Mg 0.1446 0.1446 0.1446
Mg 0.8554 0.8554 0.8554
Ni 0.4137 0.4137 0.9177
Ni 0.5863 0.5863 0.0823
Ni 0.5863 0.0823 0.5863
Ni 0.5000 0.5000 0.5000
Ni 0.0823 0.5863 0.5863
Ni 0.9177 0.4137 0.4137
Ni 0.3337 0.3337 0.3337
Ni 0.4137 0.9177 0.4137
Ni 0.6663 0.6663 0.6663
Pr 0.0000 0.0000 0.0000

Results
The calculation puts the formation energy at -0.19 eV per atom. As for the total energy: -147.853 eV per formula unit. As for the total magnetization: 3.5 μB/f.u.



No. 5
VASP calculation (meta-GGA r2SCAN) on an optimized crystal structure of Pr4MgNi.

Cell lengths 9.9895, 9.9896, 9.9897 Å; angles 60.00, 60.00, 60.00 degrees
Sites, in units of the cell vectors:
Pr 0.5631 0.5631 0.9369
Pr 0.8103 0.1897 0.1897
Pr 0.3455 0.9636 0.3454
Pr 0.9636 0.3455 0.3454
Pr 0.8103 0.8103 0.1897
Pr 0.9369 0.9369 0.5631
Pr 0.3455 0.3455 0.3454
Pr 0.8102 0.1897 0.8104
Pr 0.1897 0.8103 0.1897
Pr 0.1897 0.8103 0.8103
Pr 0.9369 0.5631 0.9369
Pr 0.9369 0.5631 0.5631
Pr 0.5631 0.9369 0.5631
Pr 0.1897 0.1897 0.8103
Pr 0.5631 0.9369 0.9369
Pr 0.3455 0.3454 0.9636
Ni 0.1421 0.1421 0.1421
Ni 0.5736 0.1421 0.1421
Ni 0.1422 0.5736 0.1421
Ni 0.1421 0.1421 0.5736
Mg 0.2643 0.5786 0.5786
Mg 0.5786 0.5786 0.5786
Mg 0.5786 0.5786 0.2643
Mg 0.5786 0.2643 0.5786

Results
The calculation puts the formation energy at -0.14 eV per atom. As for the total energy: -134.584 eV per formula unit. As for the total magnetization: 0.0 μB/f.u.



No. 6
VASP calculation (meta-GGA r2SCAN) on an optimized crystal structure of MgNiSb.

Cell lengths 4.2667, 4.2667, 4.2667 Å; angles 60.00, 60.00, 60.00 degrees
Sites, in units of the cell vectors:
Ni 0.2500 0.2500 0.2500
Sb 0.0000 0.0000 0.0000
Mg 0.5000 0.5000 0.5000

Results
The calculation puts the formation energy at -0.43 eV per atom. As for the total energy: -43.139 eV per formula unit. As for the total magnetization: 0.0 μB/f.u.



No. 7
VASP calculation (meta-GGA r2SCAN) on an optimized crystal structure of Mg2SiNi3.

Cell lengths 4.6392, 4.6392, 4.6392 Å; angles 64.46, 64.46, 64.46 degrees
Sites, in units of the cell vectors:
Mg 0.8747 0.8747 0.8747
Mg 0.1253 0.1253 0.1253
Si 0.5000 0.5000 0.5000
Ni 0.5000 0.0000 0.5000
Ni 0.5000 0.5000 0.0000
Ni 0.0000 0.5000 0.5000

Results
The calculation puts the formation energy at -0.44 eV per atom. As for the total energy: -55.677 eV per formula unit. As for the total magnetization: 0.0 μB/f.u.



No. 8
VASP calculation (meta-GGA r2SCAN) on an optimized crystal structure of Sm2MgNi2.

Cell lengths 7.4393, 7.4393, 3.7834 Å; angles 90.00, 90.00, 89.98 degrees
Sites, in units of the cell vectors:
Ni 0.8828 0.3828 0.0000
Ni 0.6173 0.8827 0.0000
Ni 0.3827 0.1173 0.0000
Ni 0.1172 0.6172 0.0000
Sm 0.1742 0.3258 0.5000
Sm 0.6740 0.1740 0.5000
Sm 0.3260 0.8260 0.5000
Sm 0.8258 0.6742 0.5000
Mg 0.0000 0.0000 0.0000
Mg 0.5000 0.5000 0.0000

Results
The calculation puts the formation energy at -0.28 eV per atom. As for the total energy: -89.017 eV per formula unit. As for the total magnetization: 0.0 μB/f.u.



No. 9
VASP calculation (meta-GGA r2SCAN) on an optimized crystal structure of SmMg2Ni9.

Cell lengths 8.2869, 8.2869, 8.2869 Å; angles 33.91, 33.91, 33.91 degrees
Sites, in units of the cell vectors:
Ni 0.5859 0.5859 0.0820
Ni 0.4141 0.9180 0.4141
Ni 0.6663 0.6663 0.6663
Ni 0.3337 0.3337 0.3337
Ni 0.5859 0.0820 0.5859
Ni 0.9180 0.4141 0.4141
Ni 0.5000 0.5000 0.5000
Ni 0.4141 0.4141 0.9180
Ni 0.0820 0.5859 0.5859
Mg 0.8556 0.8556 0.8556
Mg 0.1444 0.1444 0.1444
Sm 0.0000 0.0000 0.0000

Results
The calculation puts the formation energy at -0.22 eV per atom. As for the total energy: -148.531 eV per formula unit. As for the total magnetization: 3.5 μB/f.u.



No. 10
VASP calculation (meta-GGA r2SCAN) on an optimized crystal structure of Tb2Mg3Ni2.

Cell lengths 3.5657, 3.9719, 10.7341 Å; angles 100.66, 90.00, 90.00 degrees
Sites, in units of the cell vectors:
Mg 0.5000 0.4200 0.8401
Mg 0.5000 0.5800 0.1599
Mg 0.0000 0.0000 0.0000
Ni 0.5000 0.2862 0.5724
Ni 0.5000 0.7138 0.4276
Tb 0.0000 0.8230 0.6459
Tb 0.0000 0.1770 0.3541

Results
The calculation puts the formation energy at -0.26 eV per atom. As for the total energy: -100.767 eV per formula unit. As for the total magnetization: 0.0 μB/f.u.



No. 11
VASP calculation (meta-GGA r2SCAN) on an optimized crystal structure of Tb9Mg5Ni4.

Cell lengths 10.9248, 10.9254, 3.6311 Å; angles 90.00, 90.00, 90.00 degrees
Sites, in units of the cell vectors:
Tb 0.0000 0.0000 0.0000
Tb 0.6792 0.6792 0.5000
Tb 0.7243 0.0000 0.5000
Tb 0.6792 0.3208 0.5000
Tb 0.2757 0.0000 0.5000
Tb 0.0000 0.7243 0.5000
Tb 0.3208 0.6792 0.5000
Tb 0.3208 0.3208 0.5000
Tb 0.0000 0.2757 0.5000
Mg 0.5000 0.1408 0.0000
Mg 0.5000 0.8592 0.0000
Mg 0.8592 0.5000 0.0000
Mg 0.1408 0.5000 0.0000
Mg 0.5000 0.5000 0.0000
Ni 0.8094 0.8094 0.0000
Ni 0.1906 0.8094 0.0000
Ni 0.1906 0.1906 0.0000
Ni 0.8094 0.1906 0.0000

Results
The calculation puts the formation energy at -0.24 eV per atom. As for the total energy: -354.177 eV per formula unit. As for the total magnetization: 0.0 μB/f.u.



No. 12
VASP calculation (meta-GGA r2SCAN) on an optimized crystal structure of Mg14TiNi.

Cell lengths 6.2731, 6.0758, 9.9537 Å; angles 90.00, 90.00, 118.96 degrees
Sites, in units of the cell vectors:
Mg 0.6611 0.3270 0.6250
Mg 0.6470 0.3324 0.1250
Mg 0.6470 0.8147 0.1250
Mg 0.6611 0.8341 0.6250
Mg 0.8423 0.6711 0.8740
Mg 0.3323 0.1686 0.8902
Mg 0.8607 0.1804 0.8985
Mg 0.1634 0.3317 0.6250
Mg 0.3323 0.6637 0.3598
Mg 0.8607 0.1804 0.3515
Mg 0.3323 0.6637 0.8902
Mg 0.8423 0.6711 0.3760
Mg 0.1663 0.8331 0.6250
Mg 0.3323 0.1686 0.3598
Ti 0.1422 0.8211 0.1250
Ni 0.1768 0.3384 0.1250

Results
The calculation puts the formation energy at 0.08 eV per atom. As for the total energy: -82.054 eV per formula unit. As for the total magnetization: 1.4 μB/f.u.